Entry 1:
# K3NaRu2O8 PBE-GGA relaxed
data_K3NaRu2O8
_chemical_formula_sum 'K12 Na4 Ru8 O32'
_symmetry_space_group_name_H-M 'C 1 2/c 1'
_symmetry_Int_Tables_number 15
_cell_length_a 10.549
_cell_length_b 6.094
_cell_length_c 15.510
_cell_angle_alpha 90.00
_cell_angle_beta 90.40
_cell_angle_gamma 90.00
loop_
_symmetry_equiv_pos_as_xyz
'x,y,z'
'-x,-y,-z'
'-x,y,-z+1/2'
'x,-y,z+1/2'
'x+1/2,y+1/2,z'
'-x+1/2,-y+1/2,-z'
'-x+1/2,y+1/2,-z+1/2'
'x+1/2,-y+1/2,z+1/2'
loop_
_atom_site_label
_atom_site_type_symbol
_atom_site_fract_x
_atom_site_fract_y
_atom_site_fract_z
K1 K 0.000 0.065 0.250
K2 K 0.171 0.474 0.916
Na1 Na 0.000 0.000 0.000
Ru1 Ru 0.162 0.476 0.640
O1 O 0.072 0.229 0.622
O2 O 0.082 0.310 0.079
O3 O 0.173 0.435 0.249
O4 O 0.186 0.046 0.412
# - ΔE to the lowest computed polymorph: 0.000 eV/atom
# - E: -5.81 eV per atom
# - Calculated volume: 997.08 Å³/cell
# - Formation energy from the elements: -23.983 eV/f.u.

Entry 2:
# Cu9Se8 PBE-GGA relaxed
data_Cu9Se8
_chemical_formula_sum 'Cu9 Se8'
_symmetry_space_group_name_H-M 'P 1'
_symmetry_Int_Tables_number 1
_cell_length_a 3.870
_cell_length_b 3.907
_cell_length_c 26.269
_cell_angle_alpha 85.85
_cell_angle_beta 89.78
_cell_angle_gamma 60.34
loop_
_symmetry_equiv_pos_as_xyz
'x,y,z'
loop_
_atom_site_label
_atom_site_type_symbol
_atom_site_fract_x
_atom_site_fract_y
_atom_site_fract_z
Cu1 Cu 0.000 0.000 0.000
Cu2 Cu 0.024 0.112 0.194
Cu3 Cu 0.147 0.238 0.567
Cu4 Cu 0.398 0.488 0.317
Cu5 Cu 0.521 0.612 0.689
Cu6 Cu 0.547 0.641 0.879
Cu7 Cu 0.675 0.721 0.074
Cu8 Cu 0.772 0.863 0.442
Cu9 Cu 0.902 0.990 0.813
Se1 Se 0.057 0.139 0.286
Se2 Se 0.181 0.263 0.658
Se3 Se 0.334 0.361 0.036
Se4 Se 0.431 0.514 0.409
Se5 Se 0.560 0.638 0.782
Se6 Se 0.684 0.761 0.164
Se7 Se 0.806 0.888 0.534
Se8 Se 0.889 0.993 0.910
# - Total magnetic moment: 0.1 Bohr magnetons per cell
# - ΔE to the lowest computed polymorph: 0.036 eV/atom
# - E: -3.89 eV per atom
# - Calculated volume: 343.99 Å³/cell
# - Formation energy from the elements: -5.114 eV/f.u.

Entry 3:
# K8CaTe6 PBE-GGA relaxed
data_K8CaTe6
_chemical_formula_sum 'K16 Ca2 Te12'
_symmetry_space_group_name_H-M 'I -4 2 m'
_symmetry_Int_Tables_number 121
_symmetry_space_group_name_Hall 'I -4 2'
_cell_length_a 13.564
_cell_length_b 13.564
_cell_length_c 6.315
_cell_angle_alpha 90.00
_cell_angle_beta 90.00
_cell_angle_gamma 90.00
loop_
_atom_site_label
_atom_site_type_symbol
_atom_site_fract_x
_atom_site_fract_y
_atom_site_fract_z
K1 K 0.087 0.278 0.253
Ca1 Ca 0.000 0.000 0.000
Te1 Te 0.000 0.500 0.000
Te2 Te 0.146 0.146 0.765
# - Total magnetic moment: 0.0 Bohr magnetons per cell
# - E: -3.02 eV per atom
# - Calculated volume: 1161.82 Å³/cell
# - Formation energy from the elements: -18.133 eV/f.u.